VASP calculation (meta-GGA r2SCAN) on crystalline SmOF at its relaxed geometry.

Values from the calculation:
The magnetization comes out at 0.00 μB per cell. Its space-group type is R-3m, No. 166. The value obtained for the formation energy is -4.16 eV per atom.

Unit cell a=6.851 b=6.851 c=6.851 alpha=33.07 beta=33.07 gamma=33.07
Element x y z (fractional)
O 0.878 0.878 0.878
O 0.122 0.122 0.122
F 0.370 0.370 0.370
F 0.630 0.630 0.630
Sm 0.758 0.758 0.758
Sm 0.242 0.242 0.242



VASP calculation (meta-GGA r2SCAN) on crystalline Sn4OF6 at its relaxed geometry.

Values from the calculation:
The magnetization comes out at 0.00 μB per cell. Its space-group type is P2_12_12_1, No. 19. The value obtained for the formation energy is -2.21 eV per atom.

Unit cell a=4.929 b=10.708 c=15.952 alpha=90.00 beta=90.00 gamma=90.00
Element x y z (fractional)
O 0.831 0.868 0.366
O 0.331 0.632 0.634
O 0.169 0.368 0.134
O 0.669 0.132 0.866
Sn 0.863 0.309 0.408
Sn 0.462 0.472 0.194
Sn 0.538 0.972 0.306
Sn 0.962 0.028 0.806
Sn 0.539 0.085 0.986
Sn 0.038 0.528 0.694
Sn 0.461 0.803 0.681
Sn 0.039 0.415 0.014
Sn 0.137 0.809 0.092
Sn 0.637 0.691 0.908
Sn 0.539 0.303 0.819
Sn 0.363 0.191 0.592
Sn 0.961 0.697 0.319
Sn 0.461 0.585 0.514
Sn 0.039 0.197 0.181
Sn 0.961 0.915 0.486
F 0.347 0.976 0.424
F 0.642 0.211 0.704
F 0.844 0.722 0.705
F 0.653 0.476 0.076
F 0.142 0.289 0.296
F 0.144 0.736 0.465
F 0.305 0.379 0.621
F 0.805 0.121 0.379
F 0.195 0.621 0.121
F 0.236 0.266 0.465
F 0.656 0.278 0.205
F 0.264 0.734 0.965
F 0.856 0.236 0.035
F 0.153 0.024 0.924
F 0.847 0.524 0.576
F 0.764 0.766 0.035
F 0.858 0.789 0.204
F 0.356 0.264 0.965
F 0.695 0.879 0.879
F 0.358 0.711 0.796
F 0.644 0.764 0.535
F 0.344 0.778 0.295
F 0.156 0.222 0.795
F 0.736 0.234 0.535



VASP calculation (meta-GGA r2SCAN) on crystalline TeOF2 at its relaxed geometry.

Values from the calculation:
The magnetization comes out at 0.00 μB per cell. Its space-group type is P2_1, No. 4. The value obtained for the formation energy is -1.83 eV per atom.

Unit cell a=5.271 b=5.566 c=8.212 alpha=90.00 beta=90.00 gamma=97.32
Element x y z (fractional)
Te 0.483 0.646 0.645
Te 0.880 0.045 0.409
Te 0.120 0.955 0.909
Te 0.517 0.354 0.145
F 0.220 0.426 0.268
F 0.357 0.258 0.828
F 0.990 0.693 0.053
F 0.806 0.162 0.069
F 0.010 0.307 0.553
F 0.194 0.838 0.569
F 0.780 0.574 0.768
F 0.643 0.742 0.328
O 0.696 0.948 0.604
O 0.304 0.052 0.104
O 0.386 0.760 0.852
O 0.614 0.240 0.352



VASP calculation (meta-GGA r2SCAN) on crystalline TmOF at its relaxed geometry.

Values from the calculation:
The magnetization comes out at 0.00 μB per cell. Its space-group type is P2_1/c, No. 14. The value obtained for the formation energy is -4.30 eV per atom.

Unit cell a=5.397 b=5.470 c=5.481 alpha=80.21 beta=90.00 gamma=90.00
Element x y z (fractional)
F 0.325 0.943 0.345
F 0.175 0.943 0.845
F 0.675 0.057 0.655
F 0.825 0.057 0.155
Tm 0.474 0.695 0.713
Tm 0.974 0.305 0.787
Tm 0.526 0.305 0.287
Tm 0.026 0.695 0.213
O 0.747 0.539 0.990
O 0.753 0.539 0.490
O 0.247 0.461 0.510
O 0.253 0.461 0.010



VASP calculation (meta-GGA r2SCAN) on crystalline UOF4 at its relaxed geometry.

Values from the calculation:
The magnetization comes out at 0.00 μB per cell. Its space-group type is R3m, No. 160. The value obtained for the formation energy is -3.45 eV per atom.

Unit cell a=7.899 b=7.899 c=7.899 alpha=114.59 beta=114.59 gamma=114.59
Element x y z (fractional)
F 0.655 0.655 0.882
F 0.956 0.625 0.153
F 0.882 0.655 0.655
F 0.655 0.882 0.655
F 0.152 0.374 0.152
F 0.374 0.152 0.152
F 0.153 0.956 0.625
F 0.956 0.153 0.625
F 0.153 0.625 0.956
F 0.625 0.153 0.956
F 0.625 0.956 0.153
F 0.152 0.152 0.374
U 0.855 0.855 0.266
U 0.266 0.855 0.855
U 0.855 0.266 0.855
O 0.174 0.588 0.588
O 0.588 0.588 0.174
O 0.588 0.174 0.588



VASP calculation (meta-GGA r2SCAN) on crystalline V2O3F at its relaxed geometry.

Values from the calculation:
The magnetization comes out at 12.00 μB per cell. Its space-group type is Cmcm, No. 63. The energy above the lowest structure with this stoichiometry is 0.004 eV/atom. The value obtained for the formation energy is -2.79 eV per atom.

Unit cell a=4.597 b=4.597 c=11.754 alpha=90.00 beta=90.00 gamma=92.91
Element x y z (fractional)
O 0.293 0.303 0.750
O 0.700 0.700 0.000
O 0.707 0.697 0.250
O 0.300 0.300 0.500
O 0.700 0.700 0.500
O 0.196 0.804 0.875
O 0.804 0.196 0.375
O 0.196 0.804 0.625
O 0.804 0.196 0.125
O 0.300 0.300 0.000
O 0.303 0.293 0.250
O 0.697 0.707 0.750
V 0.473 0.527 0.626
V 0.527 0.473 0.374
V 0.527 0.473 0.126
V 0.980 0.020 0.250
V 0.473 0.527 0.874
V 0.000 0.000 0.000
V 0.020 0.980 0.750
V 0.000 0.000 0.500
F 0.203 0.797 0.375
F 0.797 0.203 0.875
F 0.203 0.797 0.125
F 0.797 0.203 0.625



VASP calculation (meta-GGA r2SCAN) on crystalline VOF2 at its relaxed geometry.

Values from the calculation:
The magnetization comes out at 6.00 μB per cell. Its space-group type is P1, No. 1. The value obtained for the formation energy is -2.94 eV per atom.

Unit cell a=5.089 b=5.085 c=13.092 alpha=89.70 beta=89.39 gamma=60.50
Element x y z (fractional)
O 0.597 0.989 0.748
O 0.082 0.242 0.420
O 0.764 0.918 0.085
O 0.657 0.248 0.916
O 0.913 0.746 0.583
O 0.578 0.428 0.247
F 0.728 0.342 0.588
F 0.237 0.080 0.912
F 0.992 0.611 0.254
F 0.408 0.589 0.748
F 0.999 0.405 0.748
F 0.386 0.014 0.245
F 0.664 0.065 0.416
F 0.060 0.668 0.912
F 0.357 0.726 0.070
F 0.271 0.659 0.421
F 0.331 0.923 0.591
F 0.953 0.325 0.083
V 0.694 0.701 0.668
V 0.999 0.029 0.497
V 0.660 0.643 0.172
V 0.330 0.336 0.334
V 0.968 0.995 0.005
V 0.372 0.318 0.838



VASP calculation (meta-GGA r2SCAN) on crystalline V2OF5 at its relaxed geometry.

Values from the calculation:
The magnetization comes out at 3.00 μB per cell. Its space-group type is P1, No. 1. The energy above the lowest structure with this stoichiometry is 0.003 eV/atom. The value obtained for the formation energy is -3.11 eV per atom.

Unit cell a=5.068 b=5.323 c=5.102 alpha=118.62 beta=119.01 gamma=91.09
Element x y z (fractional)
V 0.156 0.466 0.321
V 0.685 0.991 0.327
F 0.800 0.231 0.820
F 0.918 0.732 0.433
F 0.392 0.212 0.199
F 0.320 0.729 0.224
F 0.512 0.713 0.813
O 0.978 0.222 0.396



- Which value of magnetization does entry 3 give?
  0.00 μB per cell